1.
This record from the Materials Project database describes a relaxed structure of MgBi. The functional is PBE.

Cell lengths 6.5816, 6.5816, 8.0536 Å; angles 74.18, 74.18, 30.46 degrees
Closest atoms and distances in Å follow each position.
Element x y z (fractional)
1 Mg 0.6121 0.6121 0.2722  5 Bi 2.95-3.19
2 Mg 0.3352 0.3352 0.3295  5 Bi 3.12-3.23, 7 Mg 3.42-3.46
3 Mg 0.9381 0.9381 0.6186  6 Bi 3.36-3.70, 6 Mg 3.44-3.49
4 Bi 0.0067 0.0067 0.0354  4 Mg 3.14-3.23, 3 Bi 3.28-3.46
5 Bi 0.6679 0.6679 0.6035  3 Mg 2.95-3.12
6 Bi 0.2734 0.2734 0.9742  5 Mg 3.17-3.49, 3 Bi 3.28-3.46

Summary:
calculated formation energy	-0.015	eV/atom

2.
This record from the Materials Project database describes a relaxed structure of Mg2Bi. The functional is PBE.

Cell lengths 5.7873, 5.7873, 5.4232 Å; angles 90.00, 90.00, 120.00 degrees
Closest atoms and distances in Å follow each position.
Element x y z (fractional)
1 Mg 0.6698 0.0000 0.0000  8 Mg 3.31-3.36, 4 Bi 3.33
2 Mg 0.0000 0.6698 0.0000  8 Mg 3.31-3.36, 4 Bi 3.33
3 Mg 0.3302 0.3302 0.0000  8 Mg 3.31-3.36, 4 Bi 3.33
4 Mg 0.0000 0.0000 0.5000  6 Mg 3.32, 6 Bi 3.34
5 Bi 0.3333 0.6667 0.5000  9 Mg 3.33-3.34, 3 Bi 3.34
6 Bi 0.6667 0.3333 0.5000  9 Mg 3.33-3.34, 3 Bi 3.34

Summary:
calculated formation energy	-0.016	eV/atom

3.
This record from the Materials Project database describes a relaxed structure of MgBi. The functional is PBE.

Cell lengths 3.7718, 3.7718, 3.7718 Å; angles 90.00, 90.00, 90.00 degrees
Closest atoms and distances in Å follow each position.
Element x y z (fractional)
1 Mg 0.5000 0.5000 0.5000  8 Bi 3.27
2 Bi 0.0000 0.0000 0.0000  8 Mg 3.27

Summary:
calculated formation energy	-0.059	eV/atom

4.
This record from the Materials Project database describes a relaxed structure of MgBi. The functional is PBE.

Cell lengths 3.6950, 5.0213, 5.9678 Å; angles 90.00, 90.00, 90.00 degrees
Closest atoms and distances in Å follow each position.
Element x y z (fractional)
1 Mg 0.5000 0.1441 0.0000  6 Bi 3.07-3.17
2 Mg 0.0000 0.8559 0.5000  6 Bi 3.07-3.17
3 Bi 0.0000 0.6559 0.0000  6 Mg 3.07-3.17
4 Bi 0.5000 0.3441 0.5000  6 Mg 3.07-3.17

Summary:
calculated formation energy	-0.089	eV/atom

5.
This record from the Materials Project database describes a relaxed structure of MgBi. The functional is PBE.

Cell lengths 5.3416, 3.4541, 17.6229 Å; angles 90.00, 90.00, 90.00 degrees
Closest atoms and distances in Å follow each position.
Element x y z (fractional)
1 Mg 0.0000 0.0000 0.9960  4 Mg 3.26-3.45, 6 Bi 3.34-3.44
2 Mg 0.0000 0.0000 0.3393  6 Bi 3.21-3.24, 6 Mg 3.26-3.45
3 Mg 0.5000 0.0000 0.2177  8 Bi 3.23-3.35, 4 Mg 3.42-3.45
4 Mg 0.0000 0.5000 0.4960  4 Mg 3.26-3.45, 6 Bi 3.34-3.44
5 Mg 0.0000 0.5000 0.8393  6 Bi 3.21-3.24, 6 Mg 3.26-3.45
6 Mg 0.5000 0.5000 0.7177  8 Bi 3.23-3.35, 4 Mg 3.42-3.45
7 Bi 0.0000 0.5000 0.1855  6 Mg 3.21-3.23, 4 Bi 3.45-3.53
8 Bi 0.5000 0.5000 0.3734  8 Mg 3.24-3.44, 2 Bi 3.45
9 Bi 0.5000 0.5000 0.0547  6 Mg 3.34-3.35, 6 Bi 3.45-3.63
10 Bi 0.0000 0.0000 0.6855  6 Mg 3.21-3.23, 4 Bi 3.45-3.53
11 Bi 0.5000 0.0000 0.8734  8 Mg 3.24-3.44, 2 Bi 3.45
12 Bi 0.5000 0.0000 0.5547  6 Mg 3.34-3.35, 6 Bi 3.45-3.63

Summary:
calculated formation energy	-0.050	eV/atom

6.
This record from the Materials Project database describes a relaxed structure of MgBi. The functional is PBE.

Cell lengths 6.1735, 6.1735, 5.3242 Å; angles 79.02, 79.02, 33.57 degrees
Closest atoms and distances in Å follow each position.
Element x y z (fractional)
1 Mg 0.8729 0.8729 0.7914  7 Bi 3.10-3.36
2 Mg 0.1271 0.1271 0.2086  7 Bi 3.10-3.36
3 Bi 0.6184 0.6184 0.7220  7 Mg 3.10-3.36
4 Bi 0.3816 0.3816 0.2780  7 Mg 3.10-3.36

Summary:
calculated formation energy	-0.082	eV/atom

7.
This record from the Materials Project database describes a relaxed structure of Mg2Bi. The functional is PBE.

Cell lengths 8.0757, 8.0757, 5.5952 Å; angles 90.00, 90.00, 154.32 degrees
Closest atoms and distances in Å follow each position.
Element x y z (fractional)
1 Mg 0.6091 0.3909 0.2500  6 Mg 3.12-3.44, 4 Bi 3.27
2 Mg 0.9473 0.0527 0.2500  8 Mg 3.12-3.44, 2 Bi 3.15
3 Mg 0.0527 0.9473 0.7500  8 Mg 3.12-3.44, 2 Bi 3.15
4 Mg 0.3909 0.6091 0.7500  6 Mg 3.12-3.44, 4 Bi 3.27
5 Bi 0.2829 0.7171 0.2500  6 Mg 3.15-3.27, 4 Bi 3.48
6 Bi 0.7171 0.2829 0.7500  6 Mg 3.15-3.27, 4 Bi 3.48

Summary:
calculated formation energy	-0.025	eV/atom

8.
This record from the Materials Project database describes a relaxed structure of MgBi. The functional is PBE.

Cell lengths 5.5388, 3.5954, 16.8986 Å; angles 90.00, 90.00, 90.00 degrees
Closest atoms and distances in Å follow each position.
Element x y z (fractional)
1 Mg 0.0000 0.5000 0.1650  6 Bi 3.05-3.28
2 Mg 0.5000 0.5000 0.3901  4 Mg 3.31-3.60, 8 Bi 3.39-3.56
3 Mg 0.5000 0.0000 0.2259  4 Bi 3.12-3.32, 6 Mg 3.31-3.46
4 Mg 0.0000 0.0000 0.6650  6 Bi 3.05-3.28
5 Mg 0.5000 0.0000 0.8901  4 Mg 3.31-3.60, 8 Bi 3.39-3.56
6 Mg 0.5000 0.5000 0.7259  4 Bi 3.12-3.32, 6 Mg 3.31-3.46
7 Bi 0.0000 0.0000 0.0143  4 Mg 3.12-3.47, 4 Bi 3.39
8 Bi 0.0000 0.0000 0.3108  4 Mg 3.05-3.12
9 Bi 0.5000 0.5000 0.0605  6 Mg 3.28-3.39, 6 Bi 3.39-3.60
10 Bi 0.0000 0.5000 0.5143  4 Mg 3.12-3.47, 4 Bi 3.39
11 Bi 0.0000 0.5000 0.8108  4 Mg 3.05-3.12
12 Bi 0.5000 0.0000 0.5605  6 Mg 3.28-3.39, 6 Bi 3.39-3.60

Summary:
calculated formation energy	-0.015	eV/atom

9.
This record from the Materials Project database describes a relaxed structure of MgBi. The functional is PBE.

Cell lengths 4.8080, 4.8080, 4.8080 Å; angles 48.05, 48.05, 48.05 degrees
Closest atoms and distances in Å follow each position.
Element x y z (fractional)
1 Mg 0.5000 0.5000 0.5000  6 Bi 3.10
2 Bi 0.0000 0.0000 0.0000  6 Mg 3.10

Summary:
calculated formation energy	-0.093	eV/atom

10.
This record from the Materials Project database describes a relaxed structure of MgBi2. The functional is PBE.

Cell lengths 6.6545, 6.6545, 8.4033 Å; angles 71.72, 71.72, 29.56 degrees
Closest atoms and distances in Å follow each position.
Element x y z (fractional)
1 Mg 0.5295 0.5295 0.1948  8 Bi 3.18-3.55, 2 Mg 3.40
2 Mg 0.4705 0.4705 0.8052  8 Bi 3.18-3.55, 2 Mg 3.40
3 Bi 0.8232 0.8232 0.1172  4 Mg 3.18-3.39, 2 Bi 3.40
4 Bi 0.1264 0.1264 0.4899  4 Bi 3.20-3.57, 4 Mg 3.24-3.55
5 Bi 0.8736 0.8736 0.5101  4 Bi 3.20-3.57, 4 Mg 3.24-3.55
6 Bi 0.1768 0.1768 0.8828  4 Mg 3.18-3.39, 2 Bi 3.40

Summary:
calculated formation energy	0.007	eV/atom

11.
This record from the Materials Project database describes a relaxed structure of MgBi2. The functional is PBE.

Cell lengths 5.8459, 5.8459, 6.6662 Å; angles 64.02, 64.02, 64.66 degrees
Closest atoms and distances in Å follow each position.
Element x y z (fractional)
1 Mg 0.5879 0.4121 0.7500  4 Bi 3.13-3.31
2 Mg 0.4121 0.5879 0.2500  4 Bi 3.13-3.31
3 Bi 0.0891 0.2898 0.2340  2 Mg 3.13-3.31, 3 Bi 3.29-3.39
4 Bi 0.7102 0.9109 0.2660  2 Mg 3.13-3.31, 3 Bi 3.29-3.39
5 Bi 0.2898 0.0891 0.7340  2 Mg 3.13-3.31, 3 Bi 3.29-3.39
6 Bi 0.9109 0.7102 0.7660  2 Mg 3.13-3.31, 3 Bi 3.29-3.39

Summary:
calculated formation energy	0.007	eV/atom

12.
This record from the Materials Project database describes a relaxed structure of Mg3Bi2. The functional is PBE.

Cell lengths 11.9283, 11.9283, 11.9283 Å; angles 109.47, 109.47, 109.47 degrees
Closest atoms and distances in Å follow each position.
Element x y z (fractional)
1 Mg 0.9949 0.7387 0.9792  4 Bi 2.92-3.02
2 Mg 0.7404 0.7613 0.2561  4 Bi 2.92-3.02
3 Mg 0.5051 0.9843 0.2439  4 Bi 2.92-3.02
4 Mg 0.7596 0.5157 0.5208  4 Bi 2.92-3.02
5 Mg 0.7387 0.9792 0.9949  4 Bi 2.92-3.02
6 Mg 0.7613 0.2561 0.7404  4 Bi 2.92-3.02
7 Mg 0.9843 0.2439 0.5051  4 Bi 2.92-3.02
8 Mg 0.5157 0.5208 0.7596  4 Bi 2.92-3.02
9 Mg 0.9792 0.9949 0.7387  4 Bi 2.92-3.02
10 Mg 0.2561 0.7404 0.7613  4 Bi 2.92-3.02
11 Mg 0.2439 0.5051 0.9843  4 Bi 2.92-3.02
12 Mg 0.5208 0.7596 0.5157  4 Bi 2.92-3.02
13 Mg 0.0051 0.2613 0.0208  4 Bi 2.92-3.02
14 Mg 0.2596 0.2387 0.7439  4 Bi 2.92-3.02
15 Mg 0.4949 0.0157 0.7561  4 Bi 2.92-3.02
16 Mg 0.2404 0.4843 0.4792  4 Bi 2.92-3.02
17 Mg 0.2613 0.0208 0.0051  4 Bi 2.92-3.02
18 Mg 0.2387 0.7439 0.2596  4 Bi 2.92-3.02
19 Mg 0.0157 0.7561 0.4949  4 Bi 2.92-3.02
20 Mg 0.4843 0.4792 0.2404  4 Bi 2.92-3.02
21 Mg 0.0208 0.0051 0.2613  4 Bi 2.92-3.02
22 Mg 0.7439 0.2596 0.2387  4 Bi 2.92-3.02
23 Mg 0.7561 0.4949 0.0157  4 Bi 2.92-3.02
24 Mg 0.4792 0.2404 0.4843  4 Bi 2.92-3.02
25 Bi 0.0000 0.5000 0.0000  6 Mg 2.96
26 Bi 0.0000 0.0000 0.5000  6 Mg 2.96
27 Bi 0.5000 0.0000 0.0000  6 Mg 2.96
28 Bi 0.5000 0.5000 0.5000  6 Mg 2.96
29 Bi 0.2644 0.7500 0.5144  6 Mg 2.92-3.02
30 Bi 0.2356 0.2500 0.9856  6 Mg 2.92-3.02
31 Bi 0.7500 0.5144 0.2644  6 Mg 2.92-3.02
32 Bi 0.2500 0.9856 0.2356  6 Mg 2.92-3.02
33 Bi 0.5144 0.2644 0.7500  6 Mg 2.92-3.02
34 Bi 0.9856 0.2356 0.2500  6 Mg 2.92-3.02
35 Bi 0.7356 0.2500 0.4856  6 Mg 2.92-3.02
36 Bi 0.7644 0.7500 0.0144  6 Mg 2.92-3.02
37 Bi 0.2500 0.4856 0.7356  6 Mg 2.92-3.02
38 Bi 0.7500 0.0144 0.7644  6 Mg 2.92-3.02
39 Bi 0.4856 0.7356 0.2500  6 Mg 2.92-3.02
40 Bi 0.0144 0.7644 0.7500  6 Mg 2.92-3.02

Summary:
calculated formation energy	-0.186	eV/atom
energy above the most stable polymorph in this dataset	11	meV/atom

> Which value of calculated formation energy does entry 1 give?

-0.015 eV/atom

> Look up the calculated formation energy of the seventh one.

-0.025 eV/atom

> Look up the calculated formation energy of the second one.

-0.016 eV/atom